This record from the Materials Project describes V2Hg2O7 after structural relaxation. The functional is r²SCAN.

## Properties
Crystal system: orthorhombic
Total magnetization, μB per formula unit: 0.0

Cell and atoms, written as POSCAR:
```
V2Hg2O7
1.0
7.1911 0.0000 0.0000
0.0000 3.6154 0.0000
0.0000 0.0000 21.7671
V Hg O
8 8 28
Cartesian
0.1648 0.9038 2.5821
1.4570 2.7115 0.4330
2.1385 0.9038 11.3165
3.4308 2.7115 13.4657
3.7604 0.9038 8.3014
5.0526 2.7115 10.4506
5.7341 0.9038 21.3341
7.0263 2.7115 19.1850
0.2382 0.9038 8.1068
1.6432 0.9038 16.2614
1.9524 2.7115 5.3778
3.3574 2.7115 18.9904
3.8338 0.9038 2.7768
5.2388 0.9038 16.3893
5.5479 2.7115 5.5057
6.9529 2.7115 13.6603
0.1976 2.7115 6.5237
0.2074 2.7115 2.0545
0.6744 0.9038 12.0674
0.8999 0.9038 0.6244
1.0094 2.7115 17.9882
1.6111 0.9038 3.4671
1.7254 2.7115 20.5161
1.8701 0.9038 9.6325
1.9845 2.7115 14.3507
2.5861 0.9038 7.1046
2.6956 2.7115 11.5080
2.9211 2.7115 1.1838
3.3881 0.9038 12.9380
3.3979 0.9038 17.4073
3.7932 2.7115 4.3599
3.8030 2.7115 8.8291
4.2700 0.9038 20.5834
4.4955 0.9038 10.2592
4.6050 2.7115 14.6625
5.2066 0.9038 7.4164
5.3210 2.7115 12.1346
5.4657 0.9038 1.2511
5.5800 2.7115 18.3000
6.1817 0.9038 3.7789
6.2912 2.7115 21.1427
6.5167 2.7115 9.6998
6.9837 0.9038 19.7127
6.9935 0.9038 15.2434
```


This record from the Materials Project describes Al3CrO6 after structural relaxation. The functional is r²SCAN.

## Properties
Total magnetization, μB per formula unit: 3.0

Cell and atoms, written as POSCAR:
```
Al3CrO6
1.0
5.1299 -4.8216 0.7316
5.1601 4.8144 0.5350
-5.3065 0.1480 6.4410
O Al Cr
24 12 4
Cartesian
3.2492 -0.6883 4.7202
1.6629 -0.5379 6.6445
1.6975 0.7953 3.0791
-1.8957 -0.6846 4.0870
-0.1112 1.0130 5.2716
0.7086 3.2607 4.2390
6.8426 0.7917 3.7124
0.0215 -0.9329 1.7627
5.9103 1.6469 1.4506
0.6935 -1.5574 4.3374
8.4994 0.7740 1.7012
2.5058 -3.2714 5.6655
-3.4821 -0.5342 6.0113
5.8951 -3.1711 1.5489
5.1665 -0.9365 2.3960
4.3086 -3.0212 3.4730
2.5496 3.3479 2.0020
2.5345 -1.4701 2.1004
3.3543 0.7776 1.0679
5.0339 1.0094 5.9050
-0.9481 3.2783 6.2505
2.5210 1.5466 5.5672
4.3238 1.7968 3.3747
-0.9632 -1.5397 6.3489
1.5105 0.0205 1.2439
3.4908 0.1206 6.4784
4.1039 2.4278 1.5222
-1.6543 0.1242 5.8452
0.9914 -2.3589 2.6737
4.0888 -2.3902 1.6206
1.4431 0.0928 4.7920
4.0100 2.4998 5.0485
1.0066 2.4591 2.5755
6.5881 0.0893 5.4253
3.9949 -2.3181 5.1467
6.6556 0.0169 1.8772
3.5567 0.0481 2.9295
0.9111 2.5313 6.1007
0.8959 -2.2866 6.1990
-1.5883 0.0517 2.2962
```


This record from the Materials Project describes Ti3N2 after structural relaxation. The functional is r²SCAN.

## Properties
Crystal system: trigonal
Total magnetization, μB per formula unit: 0.0

Cell and atoms, written as POSCAR:
```
Ti3N2
1.0
2.5909 1.4959 4.8103
-2.5909 1.4959 4.8103
0.0000 -2.9917 4.8103
Ti N
6 4
Cartesian
-1.7529 -0.0444 6.0129
-0.8380 -1.5403 8.4181
0.9150 -1.4959 6.0129
-0.9150 1.4959 8.4181
0.8380 1.5403 6.0129
1.7529 0.0444 8.4181
0.0000 0.0000 2.3009
0.0000 0.0000 4.9147
0.0000 0.0000 9.5164
0.0000 0.0000 12.1302
```


This record from the Materials Project describes Cd3P2O8 after structural relaxation. The functional is r²SCAN.

## Properties
Crystal system: monoclinic
Total magnetization, μB per formula unit: 0.0

Cell and atoms, written as POSCAR:
```
Cd3P2O8
1.0
9.2225 0.0000 0.0000
0.0000 10.3850 0.0000
-5.5812 0.0000 21.4879
Cd P O
36 24 96
Cartesian
-2.4660 2.1902 9.8143
-5.2566 3.0023 20.5582
-2.1688 6.2822 8.9421
-4.9594 9.2953 19.6861
-0.9045 0.9168 6.0176
-3.6950 4.2757 16.7615
-2.3278 6.2641 19.1841
0.4628 9.3134 8.4402
-1.1751 7.3141 15.1254
1.6155 8.2634 4.3814
-1.3920 1.0710 16.1771
1.3985 4.1215 5.4332
2.8518 6.2805 1.6503
0.0612 9.2970 12.3942
-1.7546 0.9627 20.1943
1.0359 4.2298 9.4504
2.7862 2.1931 2.9421
-0.0044 2.9994 13.6860
3.6457 7.3856 7.8018
0.8551 8.1919 18.5458
2.6054 6.1552 12.0375
5.3960 9.4223 1.2936
3.5801 1.0880 9.0937
0.7896 4.1045 19.8376
2.2428 6.2635 16.0547
5.0334 9.3140 5.3108
2.0259 2.1216 17.1064
4.8165 3.0709 6.3625
3.1786 1.0716 13.0477
5.9692 4.1209 2.3038
7.3364 6.1093 4.7264
4.5458 9.4682 15.4703
8.6008 1.0897 1.8018
5.8102 4.1028 12.5457
8.8980 7.3827 0.9296
6.1074 8.1948 11.6736
-4.3567 1.4964 17.8642
-1.5662 3.6961 7.1202
-2.7229 0.8394 13.0097
0.0677 4.3531 2.2657
-0.7357 5.8695 12.0473
2.0549 9.7080 1.3033
0.7390 6.6100 7.0628
-2.0516 8.9675 17.8068
0.6435 1.5317 10.7711
3.4341 3.6608 0.0271
2.4051 0.7562 6.0180
-0.3854 4.4363 16.7619
4.0268 5.9487 4.7259
1.2362 9.6288 15.4699
0.2072 6.7242 21.4607
2.9978 8.8533 10.7168
5.6929 1.4175 3.6811
2.9023 3.7750 14.4250
1.5865 0.6770 20.1845
4.3771 4.5155 9.4406
3.5737 6.0319 19.2221
6.3643 9.5456 8.4782
5.2075 6.6889 14.3676
7.9981 8.8886 3.6237
-5.2308 7.0998 20.2445
-2.4402 8.4777 9.5006
-4.3802 5.5612 18.4839
-1.5896 10.0163 7.7400
-0.3416 7.6891 3.1970
-3.1322 7.8884 13.9410
-3.1037 5.7569 15.1801
-0.3131 9.8206 4.4362
-1.9214 6.3138 11.1657
0.8692 9.2637 0.4217
0.7339 5.5366 1.5294
-2.0567 10.0409 12.2734
-3.8209 0.7860 19.1202
-1.0303 4.4065 8.3762
-3.1968 2.0890 17.0374
-0.4062 3.1035 6.2935
0.1164 6.0306 5.7783
-2.6742 9.5469 16.5222
-0.3096 7.1972 8.0238
-3.1001 8.3803 18.7677
-1.7077 1.4528 13.9878
1.0829 3.7397 3.2439
1.5560 0.5622 2.0994
-1.2346 4.6303 12.8433
-0.4880 2.5512 10.6263
-3.2786 2.6413 21.3702
0.2461 0.1028 10.3717
-2.5444 5.0897 21.1156
1.1894 0.4372 6.9059
-1.6012 4.7553 17.6498
-0.3835 7.0248 12.9940
2.4071 8.5527 2.2501
2.0295 1.9137 5.0822
-0.7611 3.2788 15.8261
-1.1335 7.7830 17.4070
1.6571 7.7945 6.6631
0.4985 5.5211 11.2068
3.2891 10.0564 0.4629
1.6229 5.5304 7.7127
-1.1677 10.0471 18.4567
2.8168 6.3595 3.8585
0.0262 9.2180 14.6024
0.0819 5.6554 15.9396
2.8725 9.9221 5.1957
1.0533 1.4876 12.2755
3.8439 3.7049 1.5316
1.7783 2.0853 9.8818
-1.0123 3.1072 20.6257
4.6536 7.2778 0.8621
1.8631 8.2997 11.6061
-0.2025 6.6801 19.9563
2.5881 8.8974 9.2123
0.7688 0.4629 16.2922
3.5594 4.7296 5.5483
3.6151 1.1670 6.8854
0.8245 4.0255 17.6294
4.8090 0.3379 3.0312
2.0184 4.8546 13.7751
0.3523 0.3286 21.0250
3.1429 4.8639 10.2811
1.9843 2.5905 14.8248
4.7749 2.6020 4.0808
4.4025 7.1062 5.6617
1.6119 8.4713 16.4057
1.2343 1.8323 19.2378
4.0249 3.3602 8.4939
5.2426 5.6297 3.8381
2.4520 9.9478 14.5820
6.1858 5.2953 0.3723
3.3952 10.2822 11.1162
6.9199 7.7437 0.1176
4.1294 7.8338 10.8616
4.8760 5.7547 8.6446
2.0854 9.8228 19.3885
2.5585 6.6453 18.2440
5.3490 8.9322 7.5001
6.7415 2.0047 2.7201
3.9509 3.1878 13.4641
6.3156 0.8381 4.9656
3.5250 4.3544 15.7096
4.0475 7.2814 15.1944
6.8381 8.2960 4.4505
4.6716 5.9785 13.1116
7.4622 9.5990 2.3677
5.6981 0.3441 9.2145
2.9075 4.8484 19.9584
2.7721 1.1213 21.0661
5.5627 4.0712 10.3222
3.9545 0.5644 17.0517
6.7450 4.6281 6.3077
6.7736 2.4966 7.5469
3.9830 2.6959 18.2908
5.2310 0.3687 13.7479
8.0216 4.8238 3.0040
6.0816 1.9073 11.9873
8.8722 3.2852 1.2434
```


Calculated total energy (hartree per atom), listed in the same order as above: -0.6271, -0.3754, -0.4789, -0.4320